No. 1
LaDyRu2 GGA-PBE relaxed; energy relative to the elements = -0.19 eV/atom; magnetization = 0.00 μB per formula unit; crystal system = cubic; final energy = -7.216 eV/atom
1.0
0.000 3.484 3.484
3.484 0.000 3.484
3.484 3.484 0.000
La Dy Ru
1 1 2
Direct
0.000 0.000 0.000
0.500 0.500 0.500
0.250 0.250 0.250
0.750 0.750 0.750



No. 2
Li3Cu3P2O8 GGA-PBE relaxed; energy relative to the elements = -2.07 eV/atom; magnetization = 0.00 μB per formula unit; relative energy among the computed polymorphs = 8.7 meV/atom; crystal system = triclinic; maximum piezoelectric response = 4.85 C/m2; final energy = -6.001 eV/atom
1.0
5.110 0.000 0.000
-0.003 5.386 0.000
-0.009 -0.020 6.276
Li Cu P O
3 3 2 8
Direct
0.000 0.000 0.000
0.000 0.001 0.503
0.502 0.654 0.004
0.504 0.658 0.497
0.506 0.154 0.751
0.999 0.500 0.252
0.007 0.503 0.757
0.507 0.147 0.247
0.311 0.515 0.765
0.389 0.025 0.452
0.396 0.005 0.048
0.416 0.423 0.237
0.811 0.130 0.252
0.892 0.642 0.955
0.913 0.643 0.552
0.917 0.226 0.753